Entry 1:
DFT (GGA-PBE) results for an optimized crystal structure of LaBC.

Unit cell a=8.680 b=8.707 c=12.394 alpha=90.00 beta=90.00 gamma=90.00
Positions (direct):
La: 0.051 0.098 0.142
La: 0.061 0.697 0.632
La: 0.160 0.591 0.903
La: 0.160 0.994 0.420
La: 0.246 0.289 0.674
La: 0.254 0.711 0.174
La: 0.340 0.006 0.920
La: 0.340 0.409 0.403
La: 0.439 0.303 0.132
La: 0.449 0.902 0.642
La: 0.551 0.402 0.858
La: 0.561 0.803 0.368
La: 0.660 0.506 0.580
La: 0.660 0.909 0.097
La: 0.746 0.211 0.326
La: 0.754 0.789 0.826
La: 0.840 0.091 0.597
La: 0.840 0.494 0.080
La: 0.939 0.197 0.868
La: 0.949 0.598 0.358
B: 0.019 0.887 0.960
B: 0.062 0.302 0.321
B: 0.098 0.970 0.742
B: 0.117 0.397 0.214
B: 0.185 0.310 0.993
B: 0.315 0.690 0.493
B: 0.383 0.603 0.714
B: 0.402 0.030 0.242
B: 0.438 0.698 0.821
B: 0.481 0.113 0.460
B: 0.519 0.613 0.040
B: 0.562 0.198 0.679
B: 0.598 0.530 0.258
B: 0.617 0.103 0.786
B: 0.685 0.190 0.007
B: 0.815 0.810 0.507
B: 0.883 0.897 0.286
B: 0.902 0.470 0.758
B: 0.938 0.802 0.179
B: 0.981 0.387 0.540
C: 0.026 0.309 0.438
C: 0.055 0.890 0.843
C: 0.141 0.998 0.630
C: 0.146 0.393 0.095
C: 0.246 0.297 0.883
C: 0.254 0.703 0.383
C: 0.354 0.607 0.595
C: 0.359 0.002 0.130
C: 0.445 0.110 0.343
C: 0.474 0.691 0.938
C: 0.526 0.191 0.562
C: 0.555 0.610 0.157
C: 0.641 0.502 0.370
C: 0.646 0.107 0.905
C: 0.746 0.203 0.117
C: 0.754 0.797 0.617
C: 0.854 0.893 0.405
C: 0.859 0.498 0.870
C: 0.945 0.390 0.657
C: 0.974 0.809 0.062

Output
- Energy of formation: -374 meV per atom

Entry 2:
DFT (GGA-PBE) results for an optimized crystal structure of H3Pt.

Unit cell a=3.617 b=3.617 c=5.233 alpha=90.00 beta=90.00 gamma=120.00
Positions (direct):
H: 0.160 0.321 0.250
H: 0.160 0.840 0.250
H: 0.321 0.160 0.750
H: 0.679 0.840 0.250
H: 0.840 0.160 0.750
H: 0.840 0.679 0.750
Pt: 0.333 0.667 0.750
Pt: 0.667 0.333 0.250

Output
- Energy of formation: 502 meV per atom

Entry 3:
DFT (GGA-PBE) results for an optimized crystal structure of U3O8.

Unit cell a=6.784 b=6.784 c=8.318 alpha=90.00 beta=90.00 gamma=61.96
Positions (direct):
U: 0.011 0.989 0.750
U: 0.316 0.324 0.250
U: 0.324 0.316 0.750
U: 0.676 0.684 0.250
U: 0.684 0.676 0.750
U: 0.989 0.011 0.250
O: 0.000 0.000 0.000
O: 0.000 0.000 0.500
O: 0.027 0.663 0.750
O: 0.048 0.675 0.250
O: 0.318 0.318 0.000
O: 0.318 0.318 0.500
O: 0.325 0.952 0.250
O: 0.337 0.973 0.750
O: 0.473 0.527 0.750
O: 0.527 0.473 0.250
O: 0.663 0.027 0.250
O: 0.675 0.048 0.750
O: 0.682 0.682 0.000
O: 0.682 0.682 0.500
O: 0.952 0.325 0.750
O: 0.973 0.337 0.250

Output
- Energy of formation: -3704 meV per atom

Entry 4:
DFT (GGA-PBE) results for an optimized crystal structure of La3SnC.

Unit cell a=5.218 b=5.218 c=5.218 alpha=90.00 beta=90.00 gamma=90.00
Positions (direct):
La: 0.000 0.000 0.500
La: 0.000 0.500 0.000
La: 0.500 0.000 0.000
Sn: 0.500 0.500 0.500
C: 0.000 0.000 0.000

Output
- Energy of formation: -490 meV per atom

Entry 5:
DFT (GGA-PBE) results for an optimized crystal structure of Tl2CuF4.

Unit cell a=7.529 b=7.529 c=7.529 alpha=147.59 beta=147.59 gamma=46.49
Positions (direct):
Tl: 0.145 0.145 0.000
Tl: 0.855 0.855 0.000
Cu: 0.500 0.500 0.000
F: 0.000 0.500 0.500
F: 0.358 0.358 0.000
F: 0.500 0.000 0.500
F: 0.642 0.642 0.000

Output
- Energy of formation: -1940 meV per atom

Entry 6:
DFT (GGA-PBE) results for an optimized crystal structure of SrSbO3.

Unit cell a=4.209 b=4.209 c=4.209 alpha=90.00 beta=90.00 gamma=90.00
Positions (direct):
Sr: 0.000 0.000 0.000
Sb: 0.500 0.500 0.500
O: 0.000 0.500 0.500
O: 0.500 0.000 0.500
O: 0.500 0.500 0.000

Output
- Energy of formation: -2376 meV per atom

Entry 7:
DFT (GGA-PBE) results for an optimized crystal structure of ErB2Os.

Unit cell a=5.876 b=5.304 c=6.348 alpha=90.00 beta=90.00 gamma=90.00
Positions (direct):
Er: 0.010 0.250 0.166
Er: 0.490 0.750 0.666
Er: 0.510 0.250 0.334
Er: 0.990 0.750 0.834
B: 0.138 0.582 0.462
B: 0.138 0.918 0.462
B: 0.362 0.082 0.962
B: 0.362 0.418 0.962
B: 0.638 0.582 0.038
B: 0.638 0.918 0.038
B: 0.862 0.082 0.538
B: 0.862 0.418 0.538
Os: 0.176 0.250 0.681
Os: 0.324 0.750 0.181
Os: 0.676 0.250 0.819
Os: 0.824 0.750 0.319

Output
- Energy of formation: -607 meV per atom

Entry 8:
DFT (GGA-PBE) results for an optimized crystal structure of Cs5Te3.

Unit cell a=11.272 b=11.272 c=11.272 alpha=95.80 beta=95.80 gamma=142.94
Positions (direct):
Cs: 0.088 0.219 0.306
Cs: 0.219 0.912 0.131
Cs: 0.250 0.750 0.500
Cs: 0.276 0.410 0.685
Cs: 0.410 0.724 0.134
Cs: 0.590 0.276 0.866
Cs: 0.724 0.590 0.315
Cs: 0.750 0.250 0.500
Cs: 0.781 0.088 0.869
Cs: 0.912 0.781 0.694
Te: 0.155 0.657 0.812
Te: 0.302 0.302 0.000
Te: 0.343 0.155 0.498
Te: 0.657 0.845 0.502
Te: 0.698 0.698 0.000
Te: 0.845 0.343 0.188

Output
- Energy of formation: -1113 meV per atom

Entry 9:
DFT (GGA-PBE) results for an optimized crystal structure of LaNi2Ge2.

Unit cell a=5.781 b=5.781 c=5.781 alpha=137.38 beta=137.38 gamma=61.86
Positions (direct):
La: 0.000 0.000 0.000
Ni: 0.250 0.750 0.500
Ni: 0.750 0.250 0.500
Ge: 0.366 0.366 0.000
Ge: 0.634 0.634 0.000

Output
- Energy of formation: -691 meV per atom

Entry 10:
DFT (GGA-PBE) results for an optimized crystal structure of CsAgH12C4S4N2O8.

Unit cell a=10.584 b=10.584 c=16.979 alpha=116.61 beta=116.61 gamma=31.26
Positions (direct):
Cs: 0.165 0.835 0.750
Cs: 0.835 0.165 0.250
Ag: 0.000 0.000 0.000
Ag: 0.000 0.000 0.500
H: 0.031 0.513 0.256
H: 0.125 0.207 0.747
H: 0.130 0.505 0.190
H: 0.148 0.499 0.940
H: 0.207 0.125 0.247
H: 0.247 0.362 0.026
H: 0.276 0.522 0.050
H: 0.362 0.247 0.526
H: 0.478 0.724 0.450
H: 0.487 0.969 0.244
H: 0.495 0.870 0.310
H: 0.499 0.148 0.440
H: 0.501 0.852 0.560
H: 0.505 0.130 0.690
H: 0.513 0.031 0.756
H: 0.522 0.276 0.550
H: 0.638 0.753 0.474
H: 0.724 0.478 0.950
H: 0.753 0.638 0.974
H: 0.793 0.875 0.753
H: 0.852 0.501 0.060
H: 0.870 0.495 0.810
H: 0.875 0.793 0.253
H: 0.969 0.487 0.744
C: 0.052 0.593 0.251
C: 0.280 0.409 0.999
C: 0.407 0.948 0.249
C: 0.409 0.280 0.499
C: 0.591 0.720 0.501
C: 0.593 0.052 0.751
C: 0.720 0.591 0.001
C: 0.948 0.407 0.749
S: 0.118 0.581 0.470
S: 0.270 0.527 0.340
S: 0.419 0.882 0.030
S: 0.473 0.730 0.160
S: 0.527 0.270 0.840
S: 0.581 0.118 0.970
S: 0.730 0.473 0.660
S: 0.882 0.419 0.530
N: 0.163 0.661 0.434
N: 0.339 0.837 0.066
N: 0.661 0.163 0.934
N: 0.837 0.339 0.566
O: 0.013 0.748 0.552
O: 0.021 0.426 0.599
O: 0.252 0.987 0.948
O: 0.260 0.499 0.837
O: 0.282 0.647 0.331
O: 0.353 0.718 0.169
O: 0.426 0.021 0.099
O: 0.499 0.260 0.337
O: 0.501 0.740 0.663
O: 0.574 0.979 0.901
O: 0.647 0.282 0.831
O: 0.718 0.353 0.669
O: 0.740 0.501 0.163
O: 0.748 0.013 0.052
O: 0.979 0.574 0.401
O: 0.987 0.252 0.448

Output
- Energy of formation: -726 meV per atom

Entry 11:
DFT (GGA-PBE) results for an optimized crystal structure of Te2Mo3WSe6.

Unit cell a=3.381 b=3.381 c=38.464 alpha=90.00 beta=90.00 gamma=120.00
Positions (direct):
Te: 0.000 0.000 0.000
Te: 0.000 0.000 0.098
Mo: 0.000 0.000 0.861
Mo: 0.667 0.333 0.049
Mo: 0.667 0.333 0.673
W: 0.000 0.000 0.237
Se: 0.000 0.000 0.630
Se: 0.000 0.000 0.716
Se: 0.667 0.333 0.194
Se: 0.667 0.333 0.280
Se: 0.667 0.333 0.818
Se: 0.667 0.333 0.904

Output
- Energy of formation: -759 meV per atom

Entry 12:
DFT (GGA-PBE) results for an optimized crystal structure of TiB2W.

Unit cell a=3.085 b=4.504 c=4.504 alpha=41.43 beta=90.00 gamma=90.00
Positions (direct):
Ti: 0.000 0.000 0.000
B: 0.000 0.706 0.706
B: 0.500 0.586 0.586
W: 0.500 0.293 0.293

Output
- Energy of formation: -782 meV per atom

Entry 13:
DFT (GGA-PBE) results for an optimized crystal structure of CsGaSe3.

Unit cell a=7.969 b=13.298 c=6.912 alpha=90.00 beta=106.53 gamma=90.00
Positions (direct):
Cs: 0.247 0.081 0.214
Cs: 0.247 0.419 0.714
Cs: 0.753 0.581 0.286
Cs: 0.753 0.919 0.786
Ga: 0.318 0.728 0.357
Ga: 0.318 0.772 0.857
Ga: 0.682 0.228 0.143
Ga: 0.682 0.272 0.643
Se: 0.056 0.676 0.864
Se: 0.056 0.824 0.364
Se: 0.206 0.578 0.154
Se: 0.206 0.922 0.654
Se: 0.494 0.674 0.687
Se: 0.494 0.826 0.187
Se: 0.506 0.174 0.813
Se: 0.506 0.326 0.313
Se: 0.794 0.078 0.346
Se: 0.794 0.422 0.846
Se: 0.944 0.176 0.636
Se: 0.944 0.324 0.136

Output
- Energy of formation: -1073 meV per atom

Entry 14:
DFT (GGA-PBE) results for an optimized crystal structure of AcCe3.

Unit cell a=4.982 b=4.982 c=4.982 alpha=90.00 beta=90.00 gamma=90.00
Positions (direct):
Ac: 0.000 0.000 0.000
Ce: 0.000 0.500 0.500
Ce: 0.500 0.000 0.500
Ce: 0.500 0.500 0.000

Output
- Energy of formation: 141 meV per atom

Raw total energy values, unit eV per atom, following the record order: -7.322 -3.560 -9.882 -6.100 -4.031 -6.096 -7.895 -2.694 -5.839 -5.372 -6.586 -9.335 -3.672 -5.339.